(1)
A plane-wave DFT calculation with GGA-PBE was carried out for crystalline Na8Cu5O10 at its relaxed geometry. Values from VASP.

Cell and atoms, written as Quantum ESPRESSO input:
```
&SYSTEM
  ibrav = 0, nat = 23, ntyp = 3
/
ATOMIC_SPECIES
Na 22.99 Na.upf
O 16.00 O.upf
Cu 63.55 Cu.upf
ATOMIC_POSITIONS crystal
Na 0.366 0.958 0.737
Na 0.402 0.540 0.263
Na 0.366 0.737 0.958
Na 0.141 0.852 0.295
Na 0.091 0.519 0.519
Na 0.147 0.089 0.089
Na 0.402 0.263 0.540
Na 0.141 0.295 0.852
O 0.528 0.875 0.479
O 0.982 0.161 0.358
O 0.027 0.782 0.782
O 0.490 0.046 0.260
O 0.982 0.358 0.161
O 0.490 0.260 0.046
O 0.528 0.479 0.875
O 0.530 0.663 0.663
O 0.006 0.571 0.985
O 0.006 0.985 0.571
Cu 0.779 0.628 0.828
Cu 0.723 0.198 0.198
Cu 0.751 0.019 0.417
Cu 0.751 0.417 0.019
Cu 0.779 0.828 0.628
CELL_PARAMETERS angstrom
5.622 -0.024 -1.090
-2.328 6.801 -3.934
-0.003 0.024 8.194
```

## Properties
E (MP2020)   -112.2 eV per formula unit
Total energy   -4.582 eV/atom

=====

(2)
A plane-wave DFT calculation with GGA-PBE was carried out for crystalline Na9Cu2O7 at its relaxed geometry. Values from VASP.

Cell and atoms, written as Quantum ESPRESSO input:
```
&SYSTEM
  ibrav = 0, nat = 72, ntyp = 3
/
ATOMIC_SPECIES
Na 22.99 Na.upf
O 16.00 O.upf
Cu 63.55 Cu.upf
ATOMIC_POSITIONS crystal
Na 0.038 0.784 0.170
Na 0.164 0.511 0.209
Na 0.511 0.209 0.164
Na 0.791 0.664 0.989
Na 0.209 0.164 0.511
Na 0.070 0.070 0.070
Na 0.670 0.462 0.216
Na 0.538 0.716 0.830
Na 0.962 0.284 0.330
Na 0.170 0.038 0.784
Na 0.336 0.489 0.709
Na 0.765 0.735 0.265
Na 0.570 0.430 0.930
Na 0.930 0.570 0.430
Na 0.235 0.235 0.235
Na 0.989 0.791 0.664
Na 0.104 0.604 0.896
Na 0.216 0.670 0.462
Na 0.330 0.962 0.284
Na 0.430 0.930 0.570
Na 0.896 0.104 0.604
Na 0.604 0.896 0.104
Na 0.709 0.336 0.489
Na 0.784 0.170 0.038
Na 0.011 0.291 0.836
Na 0.830 0.538 0.716
Na 0.836 0.011 0.291
Na 0.265 0.765 0.735
Na 0.291 0.836 0.011
Na 0.716 0.830 0.538
Na 0.664 0.989 0.791
Na 0.284 0.330 0.962
Na 0.462 0.216 0.670
Na 0.489 0.709 0.336
Na 0.396 0.396 0.396
Na 0.735 0.265 0.765
O 0.415 0.163 0.410
O 0.085 0.837 0.910
O 0.924 0.576 0.187
O 0.163 0.410 0.415
O 0.220 0.280 0.720
O 0.076 0.076 0.313
O 0.780 0.780 0.780
O 0.915 0.337 0.590
O 0.576 0.187 0.924
O 0.424 0.687 0.576
O 0.687 0.576 0.424
O 0.924 0.813 0.424
O 0.837 0.910 0.085
O 0.720 0.220 0.280
O 0.813 0.424 0.924
O 0.280 0.720 0.220
O 0.410 0.415 0.163
O 0.576 0.424 0.687
O 0.313 0.076 0.076
O 0.090 0.585 0.663
O 0.590 0.915 0.337
O 0.076 0.313 0.076
O 0.337 0.590 0.915
O 0.585 0.663 0.090
O 0.187 0.924 0.576
O 0.663 0.090 0.585
O 0.424 0.924 0.813
O 0.910 0.085 0.837
Cu 0.903 0.903 0.903
Cu 0.932 0.432 0.068
Cu 0.568 0.568 0.568
Cu 0.097 0.403 0.597
Cu 0.403 0.597 0.097
Cu 0.432 0.068 0.932
Cu 0.068 0.932 0.432
Cu 0.597 0.097 0.403
CELL_PARAMETERS angstrom
-1.541 6.651 -7.173
2.143 -6.855 -6.817
-9.544 -2.613 -0.373
```

## Properties
Size of the total moment   0.1665 μB/atom
E (MP2020)   -79.0 eV per formula unit
Total energy   -4.124 eV/atom
Distance to the lowest polymorph of the same formula   0.007 eV/atom

=====

(3)
A plane-wave DFT calculation with GGA-PBE was carried out for crystalline Na5CuO4 at its relaxed geometry. Values from VASP.

Cell and atoms, written as Quantum ESPRESSO input:
```
&SYSTEM
  ibrav = 0, nat = 20, ntyp = 3
/
ATOMIC_SPECIES
Na 22.99 Na.upf
O 16.00 O.upf
Cu 63.55 Cu.upf
ATOMIC_POSITIONS crystal
Na 0.241 0.740 0.305
Na 0.759 0.240 0.805
Na 0.759 0.760 0.805
Na 0.759 0.760 0.195
Na 0.324 0.500 0.000
Na 0.241 0.260 0.305
Na 0.241 0.740 0.695
Na 0.759 0.240 0.195
Na 0.676 0.000 0.500
Na 0.241 0.260 0.695
O 0.531 0.500 0.273
O 0.099 0.771 0.000
O 0.469 0.000 0.773
O 0.099 0.229 0.000
O 0.531 0.500 0.727
O 0.901 0.271 0.500
O 0.901 0.729 0.500
O 0.469 0.000 0.227
Cu 0.288 0.000 0.000
Cu 0.712 0.500 0.500
CELL_PARAMETERS angstrom
-3.384 4.087 -0.984
-4.779 -4.625 -2.770
-3.052 -0.898 6.765
```

## Properties
Size of the total moment   0.2000 μB/atom
E (MP2020)   -44.0 eV per formula unit
Total energy   -4.129 eV/atom
Distance to the lowest polymorph of the same formula   0.014 eV/atom